Computed, not measured: an optimized crystal structure of ErB3H18C2S at the GGA-PBE level of DFT.

abc: 5.4656 22.5687 8.1094
angles: 90.00 100.05 90.00
Last column: nearest neighbours and their distance in Å.
Element x y z (fractional)
1 Er 0.6810 0.3333 0.1177  11 H 2.25-2.40, 1 B 2.44
2 Er 0.3190 0.8333 0.3823  11 H 2.25-2.40, 1 B 2.44
3 Er 0.3190 0.6667 0.8823  11 H 2.25-2.40, 1 B 2.44
4 Er 0.6810 0.1667 0.6177  11 H 2.25-2.40, 1 B 2.44
5 B 0.1652 0.1692 0.5655  4 H 1.23
6 B 0.8348 0.6692 0.9345  4 H 1.23
7 B 0.8348 0.8308 0.4345  4 H 1.23
8 B 0.1652 0.3308 0.0655  4 H 1.23
9 B 0.8004 0.0849 0.8118  4 H 1.20-1.24
10 B 0.1996 0.5849 0.6882  4 H 1.20-1.24
11 B 0.1996 0.9151 0.1882  4 H 1.20-1.24
12 B 0.8004 0.4151 0.3118  4 H 1.20-1.24
13 B 0.3226 0.7548 0.1232  4 H 1.23
14 B 0.6774 0.2548 0.3768  4 H 1.23
15 B 0.6774 0.2452 0.8768  4 H 1.23
16 B 0.3226 0.7452 0.6232  4 H 1.23
17 H 0.2801 0.1970 0.4733  1 B 1.23
18 H 0.7199 0.6970 0.0267  1 B 1.23
19 H 0.7199 0.8030 0.5267  1 B 1.23
20 H 0.2801 0.3030 0.9733  1 B 1.23
21 H 0.2967 0.1359 0.6627  1 B 1.23
22 H 0.7033 0.6359 0.8373  1 B 1.23
23 H 0.7033 0.8641 0.3373  1 B 1.23
24 H 0.2967 0.3641 0.1627  1 B 1.23
25 H 0.0723 0.2060 0.6479  1 B 1.23
26 H 0.9277 0.7060 0.8521  1 B 1.23
27 H 0.9277 0.7940 0.3521  1 B 1.23
28 H 0.0723 0.2940 0.1479  1 B 1.23
29 H 0.0067 0.1384 0.4779  1 B 1.23
30 H 0.9933 0.6384 0.0221  1 B 1.23
31 H 0.9933 0.8616 0.5221  1 B 1.23
32 H 0.0067 0.3616 0.9779  1 B 1.23
33 H 0.8616 0.0434 0.9028  1 B 1.20
34 H 0.1384 0.5434 0.5972  1 B 1.20
35 H 0.1384 0.9566 0.0972  1 B 1.20
36 H 0.8616 0.4566 0.4028  1 B 1.20
37 H 0.9613 0.1239 0.8228  1 B 1.24
38 H 0.0387 0.6239 0.6772  1 B 1.24
39 H 0.0387 0.8761 0.1772  1 B 1.24
40 H 0.9613 0.3761 0.3228  1 B 1.24
41 H 0.7586 0.0698 0.6620  1 B 1.24
42 H 0.2414 0.5698 0.8380  1 B 1.24
43 H 0.2414 0.9302 0.3380  1 B 1.24
44 H 0.7586 0.4302 0.1620  1 B 1.24
45 H 0.6088 0.1095 0.8385  1 B 1.24
46 H 0.3912 0.6095 0.6615  1 B 1.24
47 H 0.3912 0.8905 0.1615  1 B 1.24
48 H 0.6088 0.3905 0.3385  1 B 1.24
49 H 0.1294 0.7725 0.1640  1 B 1.23
50 H 0.8706 0.2725 0.3360  1 B 1.23
51 H 0.8706 0.2275 0.8360  1 B 1.23
52 H 0.1294 0.7275 0.6640  1 B 1.23
53 H 0.3383 0.7013 0.1521  1 B 1.23
54 H 0.6617 0.2013 0.3479  1 B 1.23
55 H 0.6617 0.2987 0.8479  1 B 1.23
56 H 0.3383 0.7987 0.6521  1 B 1.23
57 H 0.3144 0.7665 0.9740  1 B 1.23
58 H 0.6856 0.2665 0.5260  1 B 1.23
59 H 0.6856 0.2335 0.0260  1 B 1.23
60 H 0.3144 0.7335 0.4740  1 B 1.23
61 H 0.5103 0.7782 0.2023  1 B 1.23
62 H 0.4897 0.2782 0.2977  1 B 1.23
63 H 0.4897 0.2218 0.7977  1 B 1.23
64 H 0.5103 0.7218 0.7023  1 B 1.23
65 H 0.8062 0.0104 0.4140  1 C 1.10
66 H 0.1938 0.5104 0.0860  1 C 1.10
67 H 0.1938 0.9896 0.5860  1 C 1.10
68 H 0.8062 0.4896 0.9140  1 C 1.10
69 H 0.8589 0.0607 0.2523  1 C 1.10
70 H 0.1411 0.5607 0.2477  1 C 1.10
71 H 0.1411 0.9393 0.7477  1 C 1.10
72 H 0.8589 0.4393 0.7523  1 C 1.10
73 H 0.6326 0.0024 0.2075  1 C 1.10
74 H 0.3674 0.5024 0.2925  1 C 1.10
75 H 0.3674 0.9976 0.7925  1 C 1.10
76 H 0.6326 0.4976 0.7075  1 C 1.10
77 H 0.2122 0.1462 0.1858  1 C 1.10
78 H 0.7878 0.6462 0.3142  1 C 1.10
79 H 0.7878 0.8538 0.8142  1 C 1.10
80 H 0.2122 0.3538 0.6858  1 C 1.10
81 H 0.2704 0.0806 0.0755  1 C 1.10
82 H 0.7296 0.5806 0.4245  1 C 1.10
83 H 0.7296 0.9194 0.9245  1 C 1.10
84 H 0.2704 0.4194 0.5755  1 C 1.10
85 H 0.5002 0.1384 0.1117  1 C 1.10
86 H 0.4998 0.6384 0.3883  1 C 1.10
87 H 0.4998 0.8616 0.8883  1 C 1.10
88 H 0.5002 0.3616 0.6117  1 C 1.10
89 C 0.7194 0.0344 0.3015  3 H 1.10
90 C 0.2806 0.5344 0.1985  3 H 1.10
91 C 0.2806 0.9656 0.6985  3 H 1.10
92 C 0.7194 0.4656 0.8015  3 H 1.10
93 C 0.3553 0.1148 0.1631  3 H 1.10
94 C 0.6447 0.6148 0.3369  3 H 1.10
95 C 0.6447 0.8852 0.8369  3 H 1.10
96 C 0.3553 0.3852 0.6631  3 H 1.10
97 S 0.4798 0.0806 0.3614  2 C 1.81
98 S 0.5202 0.5806 0.1386  2 C 1.81
99 S 0.5202 0.9194 0.6386  2 C 1.81
100 S 0.4798 0.4194 0.8614  2 C 1.81

Crystal system = monoclinic

***

Computed, not measured: an optimized crystal structure of HoRh3C at the GGA-PBE level of DFT.

abc: 4.1738 4.1738 4.1738
angles: 90.00 90.00 90.00
Last column: nearest neighbours and their distance in Å.
Element x y z (fractional)
1 Ho 0.0000 0.0000 0.0000  12 Rh 2.95
2 Rh 0.0000 0.5000 0.5000  2 C 2.09
3 Rh 0.5000 0.5000 0.0000  2 C 2.09
4 Rh 0.5000 0.0000 0.5000  2 C 2.09
5 C 0.5000 0.5000 0.5000  6 Rh 2.09

Crystal system = cubic

***

Computed, not measured: an optimized crystal structure of Na6Mg4Nb20Si21S15O144 at the GGA-PBE level of DFT.

abc: 17.7641 8.8872 22.9641
angles: 90.00 89.98 119.97
Last column: nearest neighbours and their distance in Å.
Element x y z (fractional)
1 Na 0.9990 0.9983 0.4994  6 O 2.49-2.73
2 Na 0.4999 0.0004 0.0010  5 O 2.44-2.71
3 Na 0.3344 0.3273 0.8352  6 O 2.55-2.72
4 Na 0.8332 0.3332 0.8339  6 O 2.57-2.70
5 Na 0.3345 0.3342 0.3329  6 O 2.56-2.71
6 Na 0.8324 0.3393 0.3336  6 O 2.61-2.71
7 Mg 0.9973 0.9844 0.3535  2 O 1.90-1.98
8 Mg 0.4977 0.0116 0.8537  3 O 1.92-2.13
9 Mg 0.9950 0.0041 0.6466  2 O 1.92-1.97
10 Mg 0.4976 0.9821 0.1491  3 O 1.92-2.01
11 Nb 0.5027 0.9905 0.3584  5 O 1.90-2.00
12 Nb 0.9946 0.0026 0.8608  4 O 1.88-1.95
13 Nb 0.4930 0.9937 0.6393  4 O 1.87-1.94
14 Nb 0.9924 0.9914 0.1397  4 O 1.88-1.96
15 Nb 0.3364 0.3368 0.6866  5 O 1.89-2.10
16 Nb 0.8364 0.3191 0.6845  3 O 1.86-1.92
17 Nb 0.3377 0.3556 0.1862  3 O 1.87-1.89
18 Nb 0.8321 0.3273 0.1908  5 O 1.92-2.08
19 Nb 0.3351 0.3357 0.9799  5 O 1.89-2.06
20 Nb 0.8409 0.3417 0.9796  4 O 1.89-2.00
21 Nb 0.3410 0.3406 0.4772  4 O 1.90-1.97
22 Nb 0.8340 0.3316 0.4779  6 O 1.93-2.11
23 Nb 0.1597 0.6597 0.0244  4 O 1.88-1.97
24 Nb 0.6646 0.6570 0.0248  5 O 1.91-2.03
25 Nb 0.1649 0.6715 0.5230  5 O 1.91-2.08
26 Nb 0.6600 0.6598 0.5224  4 O 1.90-1.96
27 Nb 0.1684 0.6796 0.3119  4 O 1.88-2.04
28 Nb 0.6659 0.6592 0.3069  5 O 1.91-2.03
29 Nb 0.1673 0.6797 0.8110  4 O 1.87-2.04
30 Nb 0.6680 0.6583 0.8126  4 O 1.89-2.05
31 Si 0.6409 0.9974 0.2486  4 O 1.56-1.69
32 Si 0.3575 0.7209 0.2493  4 O 1.56-1.73
33 Si 0.8588 0.7155 0.2518  4 O 1.56-1.67
34 Si 0.3583 0.0014 0.7514  4 O 1.56-1.68
35 Si 0.8564 0.9958 0.7486  4 O 1.56-1.71
36 Si 0.4779 0.3346 0.5832  4 O 1.61-1.64
37 Si 0.9800 0.3250 0.5815  4 O 1.57-1.70
38 Si 0.6887 0.0428 0.5818  4 O 1.62-1.68
39 Si 0.3292 0.6153 0.5826  4 O 1.60-1.65
40 Si 0.4798 0.6368 0.0825  4 O 1.57-1.69
41 Si 0.9758 0.6187 0.0859  4 O 1.60-1.66
42 Si 0.8296 0.0440 0.0834  4 O 1.61-1.65
43 Si 0.1889 0.3325 0.0828  4 O 1.61-1.66
44 Si 0.8077 0.6600 0.9186  4 O 1.60-1.66
45 Si 0.0249 0.3850 0.9159  4 O 1.62-1.65
46 Si 0.5222 0.3705 0.9167  4 O 1.58-1.68
47 Si 0.1674 0.9579 0.9179  4 O 1.62-1.68
48 Si 0.3113 0.9553 0.4177  4 O 1.60-1.67
49 Si 0.6667 0.3800 0.4161  4 O 1.61-1.65
50 Si 0.0223 0.6747 0.4160  4 O 1.58-1.67
51 Si 0.5258 0.6675 0.4150  4 O 1.60-1.66
52 S 0.1439 0.0031 0.2504  4 O 1.45-1.52
53 S 0.0013 0.2866 0.2515  4 O 1.45-1.52
54 S 0.4987 0.2828 0.2486  4 O 1.43-1.53
55 S 0.1433 0.2875 0.7497  4 O 1.44-1.52
56 S 0.6440 0.2854 0.7504  4 O 1.45-1.52
57 S 0.9993 0.7148 0.7490  4 O 1.44-1.52
58 S 0.5006 0.7149 0.7513  4 O 1.45-1.54
59 S 0.1875 0.0471 0.5833  4 O 1.45-1.51
60 S 0.8351 0.6238 0.5833  4 O 1.45-1.50
61 S 0.3352 0.0454 0.0837  4 O 1.44-1.52
62 S 0.6877 0.3276 0.0835  4 O 1.44-1.51
63 S 0.3119 0.6701 0.9166  4 O 1.45-1.51
64 S 0.6644 0.9526 0.9168  4 O 1.46-1.51
65 S 0.8119 0.9530 0.4164  4 O 1.45-1.52
66 S 0.1644 0.3763 0.4166  4 O 1.45-1.51
67 O 0.1084 0.0348 0.3027  1 S 1.45
68 O 0.5996 0.0337 0.3080  1 Si 1.66
69 O 0.4162 0.8015 0.3081  1 Si 1.64
70 O 0.9159 0.7943 0.3073  1 Si 1.56
71 O 0.4838 0.1811 0.3025  1 S 1.48
72 O 0.9859 0.1816 0.3031  1 S 1.45
73 O 0.1057 0.1791 0.8029  1 S 1.49
74 O 0.6081 0.1816 0.8026  1 S 1.45
75 O 0.4846 0.7877 0.8031  1 S 1.45
76 O 0.9863 0.7918 0.8026  1 S 1.48
77 O 0.4144 0.0364 0.8074  1 Si 1.56
78 O 0.9175 0.0302 0.8076  1 Si 1.67
79 O 0.4033 0.9727 0.6925  1 Si 1.65
80 O 0.8968 0.9634 0.6932  1 Si 1.56
81 O 0.0932 0.2125 0.6977  1 S 1.44
82 O 0.5911 0.2095 0.6976  1 S 1.47
83 O 0.0160 0.8177 0.6971  1 S 1.44
84 O 0.5138 0.8175 0.6976  1 S 1.48
85 O 0.3926 0.8271 0.1916  1 Si 1.56
86 O 0.9044 0.8365 0.1926  1 Si 1.67
87 O 0.0146 0.2102 0.1976  1 S 1.49
88 O 0.5139 0.2135 0.1964  1 S 1.43
89 O 0.0913 0.9732 0.1975  1 S 1.48
90 O 0.5876 0.9697 0.1915  1 Si 1.56
91 O 0.4296 0.3624 0.6399  1 Si 1.64
92 O 0.9321 0.3648 0.6392  1 Si 1.70, 1 Nb 1.86
93 O 0.2446 0.1281 0.6362  1 S 1.51
94 O 0.7512 0.1400 0.6400  1 Si 1.68, 1 Nb 1.86
95 O 0.3177 0.4959 0.6404  1 Si 1.65
96 O 0.8185 0.5113 0.6361  1 S 1.50
97 O 0.4323 0.4992 0.1390  1 Si 1.69, 1 Nb 1.87
98 O 0.9294 0.4945 0.1403  1 Si 1.60
99 O 0.3176 0.1234 0.1356  1 S 1.49
100 O 0.8177 0.1391 0.1399  1 Si 1.62
101 O 0.2518 0.3620 0.1400  1 Si 1.66
102 O 0.7438 0.3625 0.1355  1 S 1.49
103 O 0.2354 0.3016 0.0264  1 Si 1.63
104 O 0.7307 0.3057 0.0303  1 S 1.50
105 O 0.4152 0.5197 0.0278  1 Si 1.67
106 O 0.9167 0.5322 0.0264  1 Si 1.66
107 O 0.3465 0.1552 0.0300  1 S 1.52
108 O 0.8461 0.1698 0.0264  1 Si 1.65
109 O 0.2293 0.1550 0.5310  1 S 1.48
110 O 0.7353 0.1700 0.5269  1 Si 1.62
111 O 0.3461 0.5211 0.5271  1 Si 1.63
112 O 0.8472 0.5387 0.5304  1 S 1.50
113 O 0.4154 0.2997 0.5268  1 Si 1.63
114 O 0.9147 0.3081 0.5277  1 Si 1.65
115 O 0.2707 0.6945 0.9690  1 S 1.48
116 O 0.7646 0.6975 0.9739  1 Si 1.60
117 O 0.0836 0.4714 0.9739  1 Si 1.63
118 O 0.5850 0.4805 0.9724  1 Si 1.66
119 O 0.1541 0.8318 0.9730  1 Si 1.63
120 O 0.6528 0.8472 0.9696  1 S 1.48
121 O 0.2636 0.8327 0.4737  1 Si 1.62
122 O 0.7709 0.8478 0.4697  1 S 1.49
123 O 0.1529 0.4584 0.4699  1 S 1.49
124 O 0.6556 0.4784 0.4738  1 Si 1.65
125 O 0.0845 0.6891 0.4725  1 Si 1.67
126 O 0.5829 0.6946 0.4743  1 Si 1.64
127 O 0.0685 0.6331 0.3599  1 Si 1.67
128 O 0.5690 0.6319 0.3595  1 Si 1.60
129 O 0.2475 0.8616 0.3602  1 Si 1.67
130 O 0.7569 0.8774 0.3643  1 S 1.48
131 O 0.1824 0.4883 0.3640  1 S 1.49
132 O 0.6833 0.5048 0.3599  1 Si 1.63
133 O 0.0704 0.5029 0.8588  1 Si 1.62
134 O 0.5690 0.5037 0.8598  1 Si 1.68
135 O 0.1821 0.8617 0.8596  1 Si 1.68, 1 Nb 1.87
136 O 0.6821 0.8752 0.8637  1 S 1.51
137 O 0.2556 0.6375 0.8637  1 S 1.51
138 O 0.7487 0.6350 0.8597  1 Si 1.66
139 O 0.0147 0.8444 0.4135  1 Si 1.58
140 O 0.5121 0.8329 0.4099  1 Si 1.61
141 O 0.4055 0.9818 0.4047  1 Si 1.60
142 O 0.8994 0.9801 0.4107  1 S 1.45
143 O 0.0882 0.2054 0.4091  1 S 1.45
144 O 0.5812 0.1929 0.4059  1 Si 1.61
145 O 0.0143 0.1933 0.9074  1 Si 1.63
146 O 0.5144 0.1857 0.9131  1 Si 1.58
147 O 0.0826 0.9736 0.9021  1 Si 1.62
148 O 0.5880 0.9706 0.9085  1 S 1.46
149 O 0.3987 0.8184 0.9095  1 S 1.45
150 O 0.9039 0.8275 0.9054  1 Si 1.64
151 O 0.4887 0.1666 0.5938  1 Si 1.62
152 O 0.9902 0.1597 0.5876  1 Si 1.57
153 O 0.1017 0.0244 0.5917  1 S 1.45
154 O 0.5952 0.0232 0.5984  1 Si 1.63
155 O 0.4174 0.8029 0.5935  1 Si 1.64
156 O 0.9129 0.7927 0.5895  1 S 1.45
157 O 0.4872 0.8201 0.0845  1 Si 1.57
158 O 0.9897 0.8123 0.0931  1 Si 1.62
159 O 0.4127 0.0322 0.0887  1 S 1.44
160 O 0.9175 0.0310 0.0925  1 Si 1.64
161 O 0.0951 0.1674 0.0977  1 Si 1.61
162 O 0.6011 0.1806 0.0891  1 S 1.44
163 O 0.3397 0.1662 0.7381  1 Si 1.68
164 O 0.8445 0.1746 0.7436  1 Si 1.71
165 O 0.2337 0.3095 0.7436  1 S 1.52
166 O 0.7348 0.3170 0.7420  1 S 1.50
167 O 0.4206 0.5329 0.7428  1 S 1.54
168 O 0.9208 0.5358 0.7438  1 S 1.51
169 O 0.3440 0.5151 0.2433  1 Si 1.73, 1 Nb 1.89
170 O 0.8432 0.5186 0.2375  1 Si 1.66
171 O 0.4194 0.3061 0.2431  1 S 1.53
172 O 0.9225 0.3091 0.2434  1 S 1.52
173 O 0.2348 0.1528 0.2420  1 S 1.51
174 O 0.7418 0.1705 0.2424  1 Si 1.69
175 O 0.3177 0.5066 0.9222  1 S 1.51
176 O 0.8175 0.4876 0.9243  1 Si 1.63
177 O 0.4268 0.3609 0.9255  1 Si 1.67
178 O 0.9265 0.3566 0.9237  1 Si 1.65
179 O 0.2530 0.1484 0.9244  1 Si 1.62
180 O 0.7444 0.1292 0.9235  1 S 1.51
181 O 0.3162 0.1448 0.4256  1 Si 1.65
182 O 0.8184 0.1297 0.4233  1 S 1.52
183 O 0.2444 0.3594 0.4242  1 S 1.51
184 O 0.7523 0.3579 0.4262  1 Si 1.64
185 O 0.4270 0.4965 0.4244  1 Si 1.66
186 O 0.9272 0.4937 0.4261  1 Si 1.67
187 O 0.1830 0.5075 0.0717  1 Si 1.63
188 O 0.6829 0.4911 0.0758  1 S 1.51
189 O 0.0716 0.6420 0.0741  1 Si 1.63
190 O 0.5714 0.6379 0.0718  1 Si 1.64
191 O 0.2562 0.8723 0.0736  1 S 1.49
192 O 0.7480 0.8545 0.0711  1 Si 1.61
193 O 0.1826 0.8749 0.5769  1 S 1.49
194 O 0.6828 0.8570 0.5723  1 Si 1.62
195 O 0.2474 0.6413 0.5722  1 Si 1.60
196 O 0.7566 0.6404 0.5747  1 S 1.49
197 O 0.0722 0.5060 0.5720  1 Si 1.64
198 O 0.5724 0.5037 0.5752  1 Si 1.61
199 O 0.1532 0.8429 0.2570  1 S 1.52
200 O 0.6577 0.8354 0.2649  1 Si 1.65
201 O 0.2568 0.6780 0.2648  1 Si 1.67
202 O 0.7606 0.6891 0.2592  1 Si 1.65
203 O 0.0780 0.4639 0.2580  1 S 1.49
204 O 0.5753 0.4629 0.2573  1 S 1.51
205 O 0.1557 0.4648 0.7601  1 S 1.50
206 O 0.6532 0.4640 0.7573  1 S 1.52
207 O 0.0768 0.6886 0.7586  1 S 1.52
208 O 0.5768 0.6897 0.7576  1 S 1.49
209 O 0.2594 0.8272 0.7598  1 Si 1.67
210 O 0.7574 0.8356 0.7646  1 Si 1.66

Crystal system = triclinic

***

Number 1: energy -457.2 eV/cell. Number 2: energy -38.5 eV/cell. Number 3: energy -1575.3 eV/cell.